[1]
# Y3MnB7, relaxed, DFT PBE
data_Y3MnB7
_cell_length_a 3.442
_cell_length_b 15.752
_cell_length_c 9.325
_cell_angle_alpha 90.00
_cell_angle_beta 90.00
_cell_angle_gamma 90.00
_symmetry_space_group_name_H-M 'C m c m'
_symmetry_Int_Tables_number 63
_symmetry_space_group_name_Hall '-C 2c 2'
loop_
_atom_site_label
_atom_site_type_symbol
_atom_site_fract_x
_atom_site_fract_y
_atom_site_fract_z
Y1 Y 0.000 0.104 0.060
Y2 Y 0.000 0.241 0.750
Mn1 Mn 0.000 0.053 0.750
B1 B 0.000 0.273 0.033
B2 B 0.000 0.370 0.153
B3 B 0.000 0.460 0.750
B4 B 0.000 0.478 0.098
# Formation energy   -0.6002 eV/atom
# Total moment   0.00 Bohr magnetons per cell

=====

[2]
# NaH6CN2ClO2, relaxed, DFT PBE
data_NaH6CN2ClO2
_cell_length_a 17.502
_cell_length_b 6.668
_cell_length_c 5.255
_cell_angle_alpha 90.00
_cell_angle_beta 90.00
_cell_angle_gamma 90.00
_symmetry_space_group_name_H-M 'P m n 21'
_symmetry_Int_Tables_number 31
loop_
_symmetry_equiv_pos_as_xyz
'x,y,z'
'-x+1/2,-y,z+1/2'
'-x,y,z'
'x+1/2,-y,z+1/2'
loop_
_atom_site_label
_atom_site_type_symbol
_atom_site_fract_x
_atom_site_fract_y
_atom_site_fract_z
Na1 Na 0.000 0.009 0.000
Na2 Na 0.000 0.485 0.004
H1 H 0.043 0.241 0.537
H2 H 0.044 0.756 0.425
H3 H 0.164 0.477 0.480
H4 H 0.178 0.031 0.956
H5 H 0.238 0.852 0.571
H6 H 0.246 0.617 0.885
C1 C 0.160 0.255 0.212
N1 N 0.196 0.383 0.370
N2 N 0.204 0.141 0.059
Cl1 Cl 0.119 0.743 0.759
O1 O 0.000 0.244 0.659
O2 O 0.000 0.751 0.307
O3 O 0.087 0.244 0.207
# Formation energy   -0.9506 eV/atom

=====

[3]
# Ni21Sn2B6, relaxed, DFT PBE
data_Ni21Sn2B6
_cell_length_a 10.578
_cell_length_b 10.578
_cell_length_c 10.578
_cell_angle_alpha 90.00
_cell_angle_beta 90.00
_cell_angle_gamma 90.00
_symmetry_space_group_name_H-M 'F m -3 m'
_symmetry_Int_Tables_number 225
_symmetry_space_group_name_Hall '-F 4 2 3'
loop_
_atom_site_label
_atom_site_type_symbol
_atom_site_fract_x
_atom_site_fract_y
_atom_site_fract_z
Ni1 Ni 0.000 0.000 0.000
Ni2 Ni 0.000 0.168 0.168
Ni3 Ni 0.115 0.115 0.385
Sn1 Sn 0.250 0.250 0.250
B1 B 0.000 0.000 0.272
# Formation energy   -0.2811 eV/atom

=====

[4]
# VS, relaxed, DFT PBE
data_VS
_cell_length_a 3.6693
_cell_length_b 3.6693
_cell_length_c 5.3387
_cell_angle_alpha 90.00
_cell_angle_beta 90.00
_cell_angle_gamma 120.00
_symmetry_space_group_name_H-M 'P 63/m m c'
_symmetry_Int_Tables_number 194
_symmetry_space_group_name_Hall '-P 6c 2c'
loop_
_atom_site_label
_atom_site_type_symbol
_atom_site_fract_x
_atom_site_fract_y
_atom_site_fract_z
V1 V 0.0000 0.0000 0.0000
S1 S 0.3333 0.6667 0.2500
# Formation energy   -0.9648 eV/atom
# Total moment   3.95 Bohr magnetons per cell

=====

[5]
# Ba2I2O, relaxed, DFT PBE
data_Ba2I2O
_cell_length_a 7.720
_cell_length_b 14.132
_cell_length_c 6.916
_cell_angle_alpha 90.00
_cell_angle_beta 90.00
_cell_angle_gamma 90.00
_symmetry_space_group_name_H-M 'I b a m'
_symmetry_Int_Tables_number 72
_symmetry_space_group_name_Hall '-I 2 2c'
loop_
_atom_site_label
_atom_site_type_symbol
_atom_site_fract_x
_atom_site_fract_y
_atom_site_fract_z
Ba1 Ba 0.174 0.093 0.000
I1 I 0.157 0.350 0.000
O1 O 0.000 0.000 0.250
# Formation energy   -2.3252 eV/atom

=====

[6]
# RbMnSe2, relaxed, DFT PBE
data_RbMnSe2
_cell_length_a 4.044
_cell_length_b 4.044
_cell_length_c 14.134
_cell_angle_alpha 90.00
_cell_angle_beta 90.00
_cell_angle_gamma 90.00
_symmetry_space_group_name_H-M 'I -4 m 2'
_symmetry_Int_Tables_number 119
_symmetry_space_group_name_Hall 'I -4 -2'
loop_
_atom_site_label
_atom_site_type_symbol
_atom_site_fract_x
_atom_site_fract_y
_atom_site_fract_z
Rb1 Rb 0.000 0.000 0.000
Mn1 Mn 0.000 0.500 0.750
Se1 Se 0.000 0.000 0.347
# Formation energy   -0.9137 eV/atom
# Total moment   8.01 Bohr magnetons per cell

=====

- Which formula does entry 6 have?
  RbMnSe2